YFeGe2O7 after structural relaxation, computed with GGA+U.

Output
The calculation puts the total magnetic moment at 10.00 μB per cell. For the calculated formation energy, the calculation gives -2.472 eV per atom. The calculation puts the volume at 141.34 Å³/f.u.

Cell: 6.9536 6.9536 6.7259 Å, 110.78 110.78 77.41°
Positions (direct):
Y 0.2069 0.7931 0.0000
Y 0.7931 0.2069 0.0000
Fe 0.3037 0.6963 0.5000
Fe 0.6963 0.3037 0.5000
Ge 0.2191 0.2191 0.5169
Ge 0.3032 0.3032 0.0765
Ge 0.6968 0.6968 0.9235
Ge 0.7809 0.7809 0.4831
O 0.0524 0.7246 0.5967
O 0.1317 0.1317 0.0311
O 0.2137 0.5679 0.1710
O 0.2754 0.9476 0.4033
O 0.3165 0.3165 0.8142
O 0.3654 0.3654 0.4589
O 0.4321 0.7863 0.8290
O 0.5679 0.2137 0.1710
O 0.6346 0.6346 0.5411
O 0.6835 0.6835 0.1858
O 0.7246 0.0524 0.5967
O 0.7863 0.4321 0.8290
O 0.8683 0.8683 0.9689
O 0.9476 0.2754 0.4033

=====

ZnFeGe2O6 after structural relaxation, computed with GGA+U.

Output
The calculation puts the total magnetic moment at 16.00 μB per cell. For the calculated formation energy, the calculation gives -1.937 eV per atom. The calculation puts the volume at 122.21 Å³/f.u.

Cell: 9.8444 9.2496 5.5082 Å, 90.00 102.93 90.00°
Positions (direct):
Zn 0.2474 0.0047 0.4515
Zn 0.2474 0.4953 0.9515
Zn 0.7526 0.5047 0.0485
Zn 0.7526 0.9953 0.5485
Fe 0.2453 0.6554 0.4589
Fe 0.2453 0.8446 0.9589
Fe 0.7547 0.1554 0.0411
Fe 0.7547 0.3446 0.5411
Ge 0.0565 0.1629 0.8126
Ge 0.0565 0.3371 0.3126
Ge 0.4551 0.1583 0.2355
Ge 0.4551 0.3417 0.7355
Ge 0.5449 0.6583 0.2645
Ge 0.5449 0.8417 0.7645
Ge 0.9435 0.6629 0.6874
Ge 0.9435 0.8371 0.1874
O 0.1088 0.1829 0.1491
O 0.1088 0.3171 0.6491
O 0.1285 0.6633 0.7501
O 0.1285 0.8367 0.2501
O 0.1404 0.0129 0.7222
O 0.1404 0.4871 0.2222
O 0.3620 0.6616 0.1800
O 0.3620 0.8384 0.6800
O 0.3752 0.5116 0.7004
O 0.3752 0.9884 0.2004
O 0.3820 0.2196 0.4898
O 0.3820 0.2804 0.9898
O 0.6180 0.7196 0.0102
O 0.6180 0.7804 0.5102
O 0.6248 0.0116 0.7996
O 0.6248 0.4884 0.2996
O 0.6380 0.1616 0.3200
O 0.6380 0.3384 0.8200
O 0.8596 0.5129 0.7778
O 0.8596 0.9871 0.2778
O 0.8715 0.1633 0.7499
O 0.8715 0.3367 0.2499
O 0.8912 0.6829 0.3509
O 0.8912 0.8171 0.8509

=====

ZnFeGe2O6 after structural relaxation, computed with GGA+U.

Output
The calculation puts the total magnetic moment at 0.00 μB per cell. For the calculated formation energy, the calculation gives -1.939 eV per atom. The calculation puts the volume at 122.52 Å³/f.u.

Cell: 6.8823 7.8429 9.5633 Å, 75.83 80.80 94.72°
Positions (direct):
Zn 0.2502 0.0000 0.7500
Zn 0.2500 0.5000 0.2499
Zn 0.7500 0.0000 0.2500
Zn 0.7498 0.5001 0.7500
Fe 0.9027 0.1737 0.9235
Fe 0.0973 0.3263 0.5765
Fe 0.9027 0.6737 0.4235
Fe 0.0973 0.8263 0.0765
Ge 0.3894 0.7285 0.4834
Ge 0.3895 0.2285 0.9834
Ge 0.7882 0.9326 0.6778
Ge 0.7881 0.4325 0.1777
Ge 0.6106 0.2715 0.5166
Ge 0.6106 0.7715 0.0166
Ge 0.2119 0.0675 0.3223
Ge 0.2118 0.5674 0.8222
O 0.2992 0.9387 0.4775
O 0.2989 0.4386 0.9775
O 0.5838 0.8700 0.8311
O 0.5839 0.3699 0.3310
O 0.7010 0.0613 0.5225
O 0.7008 0.5613 0.0225
O 0.4161 0.1301 0.1690
O 0.4162 0.6300 0.6689
O 0.1425 0.2594 0.3687
O 0.1424 0.7594 0.8685
O 0.3721 0.2333 0.6241
O 0.3721 0.7335 0.1241
O 0.8576 0.7406 0.6316
O 0.8575 0.2406 0.1313
O 0.6279 0.7665 0.3759
O 0.6278 0.2667 0.8759
O 0.2031 0.5887 0.4418
O 0.2035 0.0884 0.9418
O 0.9695 0.0749 0.7217
O 0.9697 0.5748 0.2214
O 0.7965 0.4116 0.5582
O 0.7968 0.9113 0.0582
O 0.0303 0.9252 0.2786
O 0.0304 0.4251 0.7783

=====

KFe3P8H22O36 after structural relaxation, computed with GGA+U.

Output
The calculation puts the total magnetic moment at 13.86 μB per cell. For the calculated formation energy, the calculation gives -1.915 eV per atom. The calculation puts the volume at 746.99 Å³/f.u.

Cell: 9.8138 9.8138 18.0040 Å, 91.70 91.70 59.55°
Positions (direct):
K 0.2349 0.7651 0.7500
K 0.7651 0.2349 0.2500
Fe 0.1841 0.2388 0.2570
Fe 0.2388 0.1841 0.7570
Fe 0.3433 0.6567 0.2500
Fe 0.6567 0.3433 0.7500
Fe 0.7612 0.8159 0.2430
Fe 0.8159 0.7612 0.7430
P 0.0072 0.8755 0.1460
P 0.1011 0.5777 0.3424
P 0.1182 0.5278 0.8540
P 0.1245 0.9928 0.3540
P 0.3533 0.3914 0.6479
P 0.3914 0.3533 0.1479
P 0.4223 0.8989 0.1576
P 0.4722 0.8818 0.6460
P 0.5278 0.1182 0.3540
P 0.5777 0.1011 0.8424
P 0.6086 0.6467 0.8521
P 0.6467 0.6086 0.3521
P 0.8755 0.0072 0.6460
P 0.8818 0.4722 0.1460
P 0.8989 0.4223 0.6576
P 0.9928 0.1245 0.8540
H 0.0033 0.6515 0.4552
H 0.0311 0.1128 0.6600
H 0.0622 0.3477 0.0584
H 0.0916 0.5514 0.6476
H 0.0989 0.7771 0.0356
H 0.1128 0.0311 0.1600
H 0.1780 0.1866 0.9722
H 0.1866 0.1780 0.4722
H 0.2229 0.9011 0.4644
H 0.2487 0.2899 0.5045
H 0.2583 0.6588 0.4831
H 0.2899 0.2487 0.0045
H 0.3008 0.6501 0.9527
H 0.3155 0.5191 0.0526
H 0.3412 0.7417 0.0169
H 0.3477 0.0622 0.5584
H 0.3485 0.9967 0.0448
H 0.3499 0.6992 0.5473
H 0.3807 0.4224 0.8485
H 0.4224 0.3807 0.3485
H 0.4486 0.9084 0.8524
H 0.4809 0.6845 0.4474
H 0.5191 0.3155 0.5526
H 0.5514 0.0916 0.1476
H 0.5776 0.6193 0.6515
H 0.6193 0.5776 0.1515
H 0.6501 0.3008 0.4527
H 0.6515 0.0033 0.9552
H 0.6523 0.9378 0.4416
H 0.6588 0.2583 0.9831
H 0.6845 0.4809 0.9474
H 0.6992 0.3499 0.0473
H 0.7101 0.7513 0.9955
H 0.7417 0.3412 0.5169
H 0.7513 0.7101 0.4955
H 0.7771 0.0989 0.5356
H 0.8134 0.8220 0.5278
H 0.8220 0.8134 0.0278
H 0.8872 0.9689 0.8400
H 0.9011 0.2229 0.9644
H 0.9084 0.4486 0.3524
H 0.9378 0.6523 0.9416
H 0.9689 0.8872 0.3400
H 0.9967 0.3485 0.5448
O 0.0051 0.1726 0.9381
O 0.0117 0.0340 0.1431
O 0.0206 0.6650 0.8022
O 0.0340 0.0117 0.6431
O 0.0376 0.2664 0.6878
O 0.0490 0.5657 0.9347
O 0.0734 0.4386 0.3258
O 0.0823 0.1478 0.3188
O 0.1097 0.6012 0.4310
O 0.1460 0.3683 0.8267
O 0.1478 0.0823 0.8188
O 0.1574 0.7448 0.1819
O 0.1726 0.0051 0.4381
O 0.1859 0.2413 0.5159
O 0.1909 0.5471 0.6304
O 0.2413 0.1859 0.0159
O 0.2552 0.8426 0.3181
O 0.2646 0.5419 0.3171
O 0.2664 0.0376 0.1878
O 0.2744 0.3264 0.1883
O 0.2839 0.5184 0.8695
O 0.2873 0.6817 0.0055
O 0.3183 0.7127 0.4945
O 0.3190 0.4205 0.0682
O 0.3264 0.2744 0.6883
O 0.3350 0.9794 0.6978
O 0.3683 0.1460 0.3267
O 0.3988 0.8903 0.0690
O 0.4205 0.3190 0.5682
O 0.4343 0.9510 0.5653
O 0.4386 0.0734 0.8258
O 0.4453 0.4580 0.1873
O 0.4529 0.8091 0.8696
O 0.4580 0.4453 0.6873
O 0.4581 0.7354 0.1829
O 0.4816 0.7161 0.6305
O 0.5184 0.2839 0.3695
O 0.5419 0.2646 0.8171
O 0.5420 0.5547 0.3127
O 0.5471 0.1909 0.1304
O 0.5547 0.5420 0.8127
O 0.5614 0.9266 0.1742
O 0.5657 0.0490 0.4347
O 0.5795 0.6810 0.4318
O 0.6012 0.1097 0.9310
O 0.6317 0.8540 0.6733
O 0.6650 0.0206 0.3022
O 0.6736 0.7256 0.3117
O 0.6810 0.5795 0.9318
O 0.6817 0.2873 0.5055
O 0.7127 0.3183 0.9945
O 0.7161 0.4816 0.1305
O 0.7256 0.6736 0.8117
O 0.7336 0.9624 0.8122
O 0.7354 0.4581 0.6829
O 0.7448 0.1574 0.6819
O 0.7587 0.8141 0.9841
O 0.8091 0.4529 0.3696
O 0.8141 0.7587 0.4841
O 0.8274 0.9949 0.5619
O 0.8426 0.2552 0.8181
O 0.8522 0.9177 0.1812
O 0.8540 0.6317 0.1733
O 0.8903 0.3988 0.5690
O 0.9177 0.8522 0.6812
O 0.9266 0.5614 0.6742
O 0.9510 0.4343 0.0653
O 0.9624 0.7336 0.3122
O 0.9660 0.9883 0.3569
O 0.9794 0.3350 0.1978
O 0.9883 0.9660 0.8569
O 0.9949 0.8274 0.0619

=====

KFeP4H4O12 after structural relaxation, computed with GGA+U.

Output
The calculation puts the total magnetic moment at 10.02 μB per cell. For the calculated formation energy, the calculation gives -1.601 eV per atom. The calculation puts the volume at 330.85 Å³/f.u.

Cell: 5.3164 7.5876 16.4772 Å, 90.00 95.41 90.00°
Positions (direct):
K 0.0000 0.0000 0.0000
K 0.0000 0.5000 0.5000
Fe 0.0000 0.0000 0.5000
Fe 0.0000 0.5000 0.0000
P 0.0990 0.2124 0.6795
P 0.0990 0.2876 0.1795
P 0.4746 0.2112 0.4158
P 0.4746 0.2888 0.9158
P 0.5254 0.7112 0.0842
P 0.5254 0.7888 0.5842
P 0.9010 0.7124 0.8205
P 0.9010 0.7876 0.3205
H 0.3082 0.1055 0.7051
H 0.3082 0.3945 0.2051
H 0.4067 0.1112 0.3455
H 0.4067 0.3888 0.8455
H 0.5933 0.6112 0.1545
H 0.5933 0.8888 0.6545
H 0.6918 0.6055 0.7949
H 0.6918 0.8945 0.2949
O 0.0364 0.6261 0.8965
O 0.0364 0.8739 0.3965
O 0.0719 0.7427 0.7511
O 0.0719 0.7573 0.2511
O 0.1790 0.0938 0.1678
O 0.1790 0.4062 0.6678
O 0.2500 0.6730 0.0553
O 0.2500 0.8270 0.5553
O 0.2850 0.1699 0.4792
O 0.2850 0.3301 0.9792
O 0.4308 0.0888 0.9015
O 0.4308 0.4112 0.4015
O 0.5692 0.5888 0.5985
O 0.5692 0.9112 0.0985
O 0.7150 0.6699 0.0208
O 0.7150 0.8301 0.5208
O 0.7500 0.1730 0.4447
O 0.7500 0.3270 0.9447
O 0.8210 0.5938 0.3322
O 0.8210 0.9062 0.8322
O 0.9281 0.2427 0.7489
O 0.9281 0.2573 0.2489
O 0.9636 0.1261 0.6035
O 0.9636 0.3739 0.1035

=====

KFe2P2H5O11 after structural relaxation, computed with GGA+U.

Output
The calculation puts the total magnetic moment at 40.01 μB per cell. For the calculated formation energy, the calculation gives -1.994 eV per atom. The calculation puts the volume at 232.94 Å³/f.u.

Cell: 9.8661 9.8007 12.3052 Å, 90.00 128.45 90.00°
Positions (direct):
K 0.1187 0.1960 0.1017
K 0.1187 0.3040 0.6017
K 0.8813 0.6960 0.3983
K 0.8813 0.8040 0.8983
Fe 0.2091 0.7261 0.8075
Fe 0.2091 0.7739 0.3075
Fe 0.4778 0.0537 0.8711
Fe 0.4778 0.4463 0.3711
Fe 0.5222 0.5537 0.6289
Fe 0.5222 0.9463 0.1289
Fe 0.7909 0.2261 0.6925
Fe 0.7909 0.2739 0.1925
P 0.1473 0.0277 0.8550
P 0.1473 0.4723 0.3550
P 0.3395 0.6772 0.1288
P 0.3395 0.8228 0.6288
P 0.6605 0.1772 0.3712
P 0.6605 0.3228 0.8712
P 0.8527 0.5277 0.6450
P 0.8527 0.9723 0.1450
H 0.1543 0.1399 0.3888
H 0.1543 0.3601 0.8888
H 0.3029 0.0867 0.5409
H 0.3029 0.4133 0.0409
H 0.3529 0.0280 0.3960
H 0.3529 0.4720 0.8960
H 0.4328 0.5214 0.8198
H 0.4328 0.9786 0.3198
H 0.4576 0.2012 0.0331
H 0.4576 0.2988 0.5331
H 0.5424 0.7012 0.4669
H 0.5424 0.7988 0.9669
H 0.5672 0.0214 0.6802
H 0.5672 0.4786 0.1802
H 0.6471 0.5280 0.1040
H 0.6471 0.9720 0.6040
H 0.6971 0.5867 0.9591
H 0.6971 0.9133 0.4591
H 0.8457 0.6399 0.1112
H 0.8457 0.8601 0.6112
O 0.0048 0.1214 0.8292
O 0.0048 0.3786 0.3292
O 0.0649 0.6123 0.2816
O 0.0649 0.8877 0.7816
O 0.2151 0.7297 0.1552
O 0.2151 0.7703 0.6552
O 0.2355 0.6636 0.9706
O 0.2355 0.8364 0.4706
O 0.2374 0.0927 0.7996
O 0.2374 0.4073 0.2996
O 0.2784 0.0058 0.0150
O 0.2778 0.1519 0.4692
O 0.2778 0.3481 0.9692
O 0.2784 0.4942 0.5150
O 0.3509 0.5446 0.8391
O 0.3509 0.9554 0.3391
O 0.4086 0.5310 0.1926
O 0.4086 0.9690 0.6926
O 0.4426 0.6436 0.4378
O 0.4426 0.8564 0.9378
O 0.5005 0.2293 0.8055
O 0.5005 0.2707 0.3055
O 0.4995 0.7293 0.6945
O 0.4995 0.7707 0.1945
O 0.5574 0.1436 0.0622
O 0.5574 0.3564 0.5622
O 0.5914 0.0310 0.3074
O 0.5914 0.4690 0.8074
O 0.6491 0.0446 0.6609
O 0.6491 0.4554 0.1609
O 0.7216 0.5058 0.4850
O 0.7222 0.6519 0.0308
O 0.7222 0.8481 0.5308
O 0.7216 0.9942 0.9850
O 0.7626 0.5927 0.7004
O 0.7626 0.9073 0.2004
O 0.7645 0.1636 0.5294
O 0.7645 0.3364 0.0294
O 0.7849 0.2297 0.3448
O 0.7849 0.2703 0.8448
O 0.9351 0.1123 0.2184
O 0.9351 0.3877 0.7184
O 0.9952 0.6214 0.6708
O 0.9952 0.8786 0.1708